A plane-wave DFT calculation with meta-GGA r2SCAN was carried out for an optimized crystal structure of CeCuSn.

Output
DFT formation energy   -156 kJ/mol of formula units
Magnetic moment   0.3384 μB per atom

Structure (CIF):
```
data_CeCuSn
_symmetry_space_group_name_H-M 'P 63 m c'
_symmetry_Int_Tables_number 186
_symmetry_space_group_name_Hall 'P 6c -2c'
_cell_length_a 4.5827
_cell_length_b 4.5827
_cell_length_c 7.6872
_cell_angle_alpha 90.00
_cell_angle_beta 90.00
_cell_angle_gamma 120.00
loop_
_atom_site_label
_atom_site_type_symbol
_atom_site_fract_x
_atom_site_fract_y
_atom_site_fract_z
Ce1 Ce 0.0000 0.0000 0.0000
Cu1 Cu 0.3333 0.6667 0.3070
Sn1 Sn 0.3333 0.6667 0.7376
```

A plane-wave DFT calculation with meta-GGA r2SCAN was carried out for an optimized crystal structure of CeCuSn.

Output
DFT formation energy   -174 kJ/mol of formula units
Magnetic moment   0.3503 μB per atom

Structure (CIF):
```
data_CeCuSn
_symmetry_space_group_name_H-M 'P 63/m m c'
_symmetry_Int_Tables_number 194
_symmetry_space_group_name_Hall '-P 6c 2c'
_cell_length_a 4.5563
_cell_length_b 4.5563
_cell_length_c 8.0209
_cell_angle_alpha 90.00
_cell_angle_beta 90.00
_cell_angle_gamma 120.00
loop_
_atom_site_label
_atom_site_type_symbol
_atom_site_fract_x
_atom_site_fract_y
_atom_site_fract_z
Ce1 Ce 0.0000 0.0000 0.0000
Cu1 Cu 0.3333 0.6667 0.2500
Sn1 Sn 0.3333 0.6667 0.7500
```

A plane-wave DFT calculation with meta-GGA r2SCAN was carried out for an optimized crystal structure of Ce2Zn3Cu7.

Output
DFT formation energy   -238 kJ/mol of formula units
Magnetic moment   0.1917 μB per atom

Structure (CIF):
```
data_Ce2Zn3Cu7
_symmetry_space_group_name_H-M 'P 1 2/m 1'
_symmetry_Int_Tables_number 10
_cell_length_a 5.1485
_cell_length_b 4.1212
_cell_length_c 8.9532
_cell_angle_alpha 90.00
_cell_angle_beta 90.35
_cell_angle_gamma 90.00
loop_
_symmetry_equiv_pos_as_xyz
'x,y,z'
'-x,-y,-z'
'-x,y,-z'
'x,-y,z'
loop_
_atom_site_label
_atom_site_type_symbol
_atom_site_fract_x
_atom_site_fract_y
_atom_site_fract_z
Ce1 Ce 0.2496 0.0000 0.2474
Zn1 Zn 0.2453 0.5000 0.7534
Zn2 Zn 0.5000 0.5000 0.5000
Cu1 Cu 0.0000 0.5000 0.0000
Cu2 Cu 0.0000 0.5000 0.5000
Cu3 Cu 0.2437 0.0000 0.5805
Cu4 Cu 0.2520 0.0000 0.9204
Cu5 Cu 0.5000 0.5000 0.0000
```